# 1
Sr2TaVO6 | PBE with a Hubbard U | optimized geometry

ρ: 6.48 Mg/m³
Final energy: -8.092 eV per atom
DFT formation energy: -32.735 eV per formula unit
V: 12.9 Å³/atom

Cell lengths 5.610, 5.611, 8.187 Å; angles 89.98, 89.97, 90.00 degrees
Atoms (fractional coordinates):
Sr  0.000  0.500  0.250
Sr  0.500  0.000  0.750
Sr  0.500  0.000  0.250
Sr  0.000  0.500  0.750
Ta  0.000  0.000  0.000
Ta  0.500  0.500  0.500
V  0.000  0.000  0.500
V  0.500  0.500  0.000
O  0.000  0.000  0.244
O  0.500  0.500  0.744
O  0.500  0.500  0.256
O  0.000  0.000  0.756
O  0.709  0.789  0.500
O  0.209  0.289  0.000
O  0.791  0.711  0.000
O  0.291  0.211  0.500
O  0.711  0.209  0.000
O  0.211  0.709  0.500
O  0.789  0.291  0.500
O  0.289  0.791  0.000

# 2
Sr2TaVO6 | PBE with a Hubbard U | optimized geometry

ρ: 6.43 Mg/m³
Final energy: -8.084 eV per atom
DFT formation energy: -32.650 eV per formula unit
V: 13.0 Å³/atom

Cell lengths 5.651, 5.651, 8.138 Å; angles 90.00, 90.00, 90.00 degrees
Atoms (fractional coordinates):
Sr  0.000  0.000  0.000
Sr  0.500  0.500  0.500
Sr  0.000  0.000  0.500
Sr  0.500  0.500  0.000
Ta  0.500  0.000  0.750
Ta  0.000  0.500  0.250
V  0.000  0.500  0.750
V  0.500  0.000  0.250
O  0.749  0.249  0.750
O  0.249  0.749  0.250
O  0.251  0.751  0.750
O  0.751  0.251  0.250
O  0.500  0.000  0.505
O  0.000  0.500  0.005
O  0.500  0.000  0.995
O  0.000  0.500  0.495
O  0.251  0.249  0.750
O  0.751  0.749  0.250
O  0.749  0.751  0.750
O  0.249  0.251  0.250

# 3
Sr2TbVO6 | PBE with a Hubbard U | optimized geometry

ρ: 5.72 Mg/m³
Final energy: -7.240 eV per atom
DFT formation energy: -31.442 eV per formula unit
V: 14.0 Å³/atom

Cell lengths 5.824, 5.824, 5.824 Å; angles 60.00, 60.00, 60.00 degrees
Atoms (fractional coordinates):
Sr  0.250  0.250  0.250
Sr  0.750  0.750  0.750
Tb  0.000  0.000  0.000
V  0.500  0.500  0.500
O  0.731  0.269  0.269
O  0.269  0.731  0.731
O  0.731  0.269  0.731
O  0.269  0.731  0.269
O  0.731  0.731  0.269
O  0.269  0.269  0.731

# 4
Sr2TbWO6 | PBE with a Hubbard U | optimized geometry

ρ: 6.93 Mg/m³
Final energy: -7.340 eV per atom
DFT formation energy: -31.298 eV per formula unit
V: 14.7 Å³/atom

Cell lengths 8.379, 8.379, 8.379 Å; angles 90.00, 90.00, 90.00 degrees
Atoms (fractional coordinates):
Sr  0.500  0.500  0.500
Sr  0.000  0.000  0.000
Sr  0.000  0.000  0.500
Sr  0.000  0.500  0.000
Sr  0.500  0.000  0.000
Sr  0.500  0.500  0.000
Sr  0.500  0.000  0.500
Sr  0.000  0.500  0.500
Tb  0.750  0.750  0.750
Tb  0.750  0.250  0.250
Tb  0.250  0.750  0.250
Tb  0.250  0.250  0.750
W  0.250  0.250  0.250
W  0.250  0.750  0.750
W  0.750  0.250  0.750
W  0.750  0.750  0.250
O  0.216  0.286  0.485
O  0.216  0.714  0.515
O  0.784  0.286  0.515
O  0.784  0.714  0.485
O  0.286  0.485  0.216
O  0.714  0.515  0.216
O  0.286  0.515  0.784
O  0.714  0.485  0.784
O  0.485  0.216  0.286
O  0.515  0.216  0.714
O  0.515  0.784  0.286
O  0.485  0.784  0.714
O  0.284  0.214  0.015
O  0.284  0.786  0.985
O  0.716  0.214  0.985
O  0.716  0.786  0.015
O  0.214  0.015  0.284
O  0.786  0.985  0.284
O  0.214  0.985  0.716
O  0.786  0.015  0.716
O  0.015  0.284  0.214
O  0.985  0.284  0.786
O  0.985  0.716  0.214
O  0.015  0.716  0.786

# 5
Sr2TbWO6 | PBE with a Hubbard U | optimized geometry

ρ: 6.82 Mg/m³
Final energy: -7.235 eV per atom
DFT formation energy: -30.249 eV per formula unit
V: 15.0 Å³/atom

Cell lengths 5.959, 5.959, 5.959 Å; angles 60.00, 60.00, 60.00 degrees
Atoms (fractional coordinates):
Sr  0.250  0.250  0.250
Sr  0.750  0.750  0.750
Tb  0.000  0.000  0.000
W  0.500  0.500  0.500
O  0.736  0.264  0.264
O  0.264  0.736  0.736
O  0.736  0.264  0.736
O  0.264  0.736  0.264
O  0.736  0.736  0.264
O  0.264  0.264  0.736

# 6
Sr2YTlV2O7 | PBE with a Hubbard U | optimized geometry

ρ: 5.70 Mg/m³
Final energy: -7.032 eV per atom
DFT formation energy: -34.615 eV per formula unit
V: 15.3 Å³/atom

Cell lengths 3.789, 4.023, 13.041 Å; angles 90.00, 90.00, 90.00 degrees
Atoms (fractional coordinates):
Sr  0.000  0.000  0.317
Sr  0.000  0.000  0.683
Y  0.000  0.000  0.000
Tl  0.500  0.500  0.500
V  0.500  0.500  0.148
V  0.500  0.500  0.852
O  0.500  0.000  0.113
O  0.000  0.500  0.103
O  0.500  0.000  0.887
O  0.000  0.500  0.897
O  0.500  0.500  0.293
O  0.500  0.500  0.707
O  0.000  0.000  0.500